1.
Density functional theory data (PBE+U) for crystalline FeOF at its relaxed geometry.

Calculated values
VASP energy ... -215.69 eV for the cell shown
Energy of formation from the pure elements ... -2.015 eV per atom
Symmetry ... Pm

abc: 9.4819 3.0842 14.0951
angles: 90.00 90.92 90.00
Fractional positions:
Fe (0.0000, 0.0000, 0.0000)
Fe (0.0001, 0.0000, 0.2885)
Fe (0.2433, 0.5000, 0.1457)
Fe (0.2438, 0.5000, 0.4801)
Fe (0.2615, 0.5000, 0.8125)
Fe (0.4995, 0.0000, 0.9630)
Fe (0.5049, 0.0000, 0.2834)
Fe (0.5397, 0.0000, 0.6376)
Fe (0.7373, 0.5000, 0.8159)
Fe (0.7515, 0.5000, 0.4777)
Fe (0.7568, 0.5000, 0.1442)
Fe (0.9963, 0.0000, 0.6227)
O (0.1078, 0.5000, 0.0392)
O (0.1579, 0.0000, 0.5412)
O (0.1586, 0.0000, 0.2063)
O (0.4037, 0.5000, 0.2386)
O (0.4060, 0.5000, 0.9033)
O (0.6049, 0.5000, 0.7069)
O (0.6515, 0.0000, 0.8769)
O (0.6558, 0.0000, 0.2000)
O (0.6602, 0.0000, 0.5327)
O (0.8442, 0.0000, 0.0757)
O (0.9000, 0.5000, 0.5711)
O (0.9035, 0.5000, 0.2458)
F (0.1023, 0.5000, 0.3746)
F (0.1016, 0.5000, 0.7065)
F (0.1538, 0.0000, 0.8660)
F (0.3433, 0.0000, 0.7369)
F (0.3485, 0.0000, 0.4130)
F (0.3589, 0.0000, 0.0658)
F (0.4088, 0.5000, 0.5754)
F (0.5897, 0.5000, 0.0304)
F (0.6059, 0.5000, 0.3735)
F (0.8486, 0.0000, 0.4122)
F (0.8558, 0.0000, 0.7454)
F (0.9084, 0.5000, 0.9068)

***

2.
Density functional theory data (PBE+U) for crystalline Li2Mn2P4H6O17 at its relaxed geometry.

Calculated values
VASP energy ... -402.29 eV for the cell shown
Energy of formation from the pure elements ... -2.190 eV per atom
Symmetry ... P-1

abc: 8.7409 9.0654 9.3294
angles: 63.30 79.88 89.96
Fractional positions:
Li (0.1792, 0.2649, 0.0177)
Li (0.2547, 0.1976, 0.3872)
Li (0.7453, 0.8024, 0.6128)
Li (0.8208, 0.7351, 0.9823)
Mn (0.1275, 0.7797, 0.7663)
Mn (0.3674, 0.7092, 0.2532)
Mn (0.6326, 0.2908, 0.7468)
Mn (0.8725, 0.2203, 0.2337)
P (0.0702, 0.5511, 0.1959)
P (0.0890, 0.9124, 0.3570)
P (0.3600, 0.9910, 0.8501)
P (0.3953, 0.5872, 0.6606)
P (0.6047, 0.4128, 0.3394)
P (0.6400, 0.0090, 0.1499)
P (0.9110, 0.0876, 0.6430)
P (0.9298, 0.4489, 0.8041)
H (0.0705, 0.2893, 0.6086)
H (0.1560, 0.5059, 0.6088)
H (0.2044, 0.9836, 0.0571)
H (0.3800, 0.4006, 0.1044)
H (0.4457, 0.2418, 0.0920)
H (0.4746, 0.1996, 0.5482)
H (0.5254, 0.8004, 0.4518)
H (0.5543, 0.7582, 0.9080)
H (0.6200, 0.5994, 0.8956)
H (0.7956, 0.0164, 0.9429)
H (0.8440, 0.4941, 0.3912)
H (0.9295, 0.7107, 0.3914)
O (0.0392, 0.3780, 0.2083)
O (0.0490, 0.0820, 0.2309)
O (0.0557, 0.4257, 0.6711)
O (0.0600, 0.6935, 0.0314)
O (0.0673, 0.2100, 0.5594)
O (0.1640, 0.9248, 0.4860)
O (0.1924, 0.8466, 0.2478)
O (0.2310, 0.5430, 0.2475)
O (0.2407, 0.0713, 0.9402)
O (0.2786, 0.6145, 0.7898)
O (0.2824, 0.9486, 0.7362)
O (0.3153, 0.5869, 0.5263)
O (0.3510, 0.2852, 0.1348)
O (0.4208, 0.8434, 0.9810)
O (0.4595, 0.4225, 0.7608)
O (0.4666, 0.2674, 0.4279)
O (0.4905, 0.1295, 0.7299)
O (0.5095, 0.8705, 0.2701)
O (0.5334, 0.7326, 0.5721)
O (0.5405, 0.5775, 0.2392)
O (0.5792, 0.1566, 0.0190)
O (0.6490, 0.7148, 0.8652)
O (0.6847, 0.4131, 0.4737)
O (0.7176, 0.0514, 0.2638)
O (0.7214, 0.3855, 0.2102)
O (0.7593, 0.9287, 0.0598)
O (0.7690, 0.4570, 0.7525)
O (0.8076, 0.1534, 0.7522)
O (0.8360, 0.0752, 0.5140)
O (0.9327, 0.7900, 0.4406)
O (0.9400, 0.3065, 0.9686)
O (0.9443, 0.5743, 0.3289)
O (0.9510, 0.9180, 0.7691)
O (0.9608, 0.6220, 0.7917)

***

> Among the records above, which one has the lowest VASP energy?

Li2Mn2P4H6O17